Below is crystalline Mg4Si7 at its relaxed geometry, with properties calculated at the PBE level.

Cell: 4.2407 6.7591 14.7932 Å, 81.41 81.78 85.88°
Last column: nearest neighbours and their distance in Å.
Fractional positions:
Mg  0.5196  0.3277  0.4231  7 Si 2.79-3.11, 1 Mg 3.10
Si  0.0894  0.5333  0.2971  4 Si 2.40-2.53
Mg  0.0000  0.0000  0.5000  4 Si 2.64-2.76
Si  0.9324  0.3559  0.5555  2 Si 2.40, 1 Mg 2.64
Si  0.6034  0.6186  0.2144  4 Si 2.41-2.53
Si  0.4570  0.7201  0.0598  3 Si 2.39-2.44
Mg  0.6353  0.9783  0.8379  5 Si 2.69-2.87
Si  0.0676  0.6441  0.4445  2 Si 2.40, 1 Mg 2.64
Si  0.9293  0.8274  0.6822  2 Si 2.42-2.47
Mg  0.0000  0.0000  0.0000  4 Si 2.75-3.03, 2 Mg 3.06
Mg  0.3647  0.0217  0.1621  5 Si 2.69-2.87
Si  0.0707  0.1726  0.3178  2 Si 2.42-2.47
Si  0.8071  0.2753  0.1788  3 Si 2.40-2.52, 1 Mg 2.69
Si  0.8231  0.5713  0.9460  4 Si 2.39-2.41
Mg  0.4804  0.6723  0.5769  7 Si 2.79-3.11, 1 Mg 3.10
Si  0.9106  0.4667  0.7029  4 Si 2.40-2.53
Si  0.5430  0.2799  0.9402  3 Si 2.39-2.44
Mg  0.5914  0.8809  0.3513  6 Si 2.87-3.16, 1 Mg 3.08
Mg  0.4086  0.1191  0.6487  6 Si 2.87-3.16, 1 Mg 3.08
Si  0.1769  0.4287  0.0540  4 Si 2.39-2.41
Si  0.1929  0.7247  0.8212  3 Si 2.40-2.52, 1 Mg 2.69
Si  0.3966  0.3814  0.7856  4 Si 2.41-2.53

Calculated values
* space-group type: No. 2
* theoretical density: 2355 kg/m³
* crystal system: triclinic
* V: 207.2 Å³/f.u.
* relative energy among the computed polymorphs: 14 meV/atom

***

Below is crystalline Mg4Si3 at its relaxed geometry, with properties calculated at the PBE level.

Cell: 5.2844 6.7892 7.9708 Å, 68.86 86.25 84.76°
Last column: nearest neighbours and their distance in Å.
Fractional positions:
Mg  0.5794  0.6482  0.8985  4 Si 2.77-2.92, 3 Mg 3.00-3.05
Mg  0.0821  0.7656  0.0691  6 Si 2.86-3.17, 3 Mg 3.05-3.13
Mg  0.1678  0.4167  0.4405  5 Si 2.76-2.92, 3 Mg 2.93-3.08
Si  0.3606  0.0707  0.7209  1 Si 2.54, 5 Mg 2.66-2.81
Si  0.2729  0.3403  0.1198  1 Si 2.50, 4 Mg 2.70-2.80
Mg  0.6231  0.4393  0.6216  4 Si 2.81-2.95, 3 Mg 2.93-3.01
Mg  0.7791  0.2629  0.2601  4 Si 2.75-2.92, 3 Mg 3.03-3.07
Si  0.0676  0.6054  0.7173  2 Si 2.44-2.57, 1 Mg 2.73
Si  0.0508  0.2316  0.9025  3 Si 2.44-2.54
Mg  0.5823  0.0649  0.0129  4 Si 2.66-2.77
Si  0.8726  0.8023  0.4087  2 Si 2.49-2.57, 1 Mg 2.76
Mg  0.8738  0.0101  0.6597  4 Si 2.73-2.83, 2 Mg 3.00-3.01
Si  0.5894  0.6588  0.2492  1 Si 2.49, 2 Mg 2.72-2.75
Mg  0.3483  0.9333  0.4190  6 Si 2.76-3.02

Calculated values
* space-group type: No. 1
* theoretical density: 2271 kg/m³
* crystal system: triclinic
* V: 132.7 Å³/f.u.
* relative energy among the computed polymorphs: 61 meV/atom

***

Below is crystalline Mg3Si4 at its relaxed geometry, with properties calculated at the PBE level.

Cell: 6.8804 8.1088 10.4836 Å, 82.15 75.67 65.96°
Last column: nearest neighbours and their distance in Å.
Fractional positions:
Mg  0.2991  0.5468  0.8125  7 Si 2.81-3.08, 1 Mg 3.08
Mg  0.4017  0.8008  0.5627  3 Si 2.81-2.94, 4 Mg 2.98-3.10
Mg  0.5262  0.4083  0.4390  5 Si 2.66-2.96
Si  0.0127  0.8175  0.9882  2 Si 2.45-2.51, 1 Mg 2.72
Si  0.6712  0.9946  0.5267  2 Si 2.40-2.68
Mg  0.3411  0.2760  0.0509  4 Si 2.66-2.82, 2 Mg 2.85-2.87
Si  0.5948  0.9450  0.9329  3 Si 2.60-2.81, 4 Mg 2.79-2.83
Mg  0.9487  0.9221  0.7239  6 Si 2.62-2.89
Si  0.1574  0.2617  0.8173  3 Si 2.39-2.46, 1 Mg 2.67
Mg  0.3782  0.1122  0.3555  8 Si 2.77-2.97, 1 Mg 3.08
Si  0.5420  0.1586  0.7246  4 Si 2.40-2.60, 1 Mg 2.67
Mg  0.8620  0.6008  0.4047  7 Si 2.83-3.07, 2 Mg 2.93-3.06
Si  0.9560  0.1527  0.4881  4 Si 2.43-2.68
Mg  0.1215  0.8216  0.3656  5 Si 2.66-2.96, 2 Mg 2.93
Si  0.5385  0.7668  0.2416  1 Si 2.48, 2 Mg 2.72-2.78
Mg  0.1888  0.9906  0.1018  7 Si 2.72-3.02, 2 Mg 2.85-2.93
Si  0.6953  0.2431  0.1827  3 Si 2.50-2.53, 1 Mg 2.76
Si  0.1083  0.6272  0.5917  1 Si 2.39, 2 Mg 2.62-2.66
Si  0.7113  0.3846  0.6434  3 Si 2.43-2.61, 1 Mg 2.70
Mg  0.7172  0.6590  0.7649  4 Si 2.73-2.91
Mg  0.7735  0.2351  0.9120  3 Si 2.67-2.97, 1 Mg 2.87
Si  0.4170  0.5944  0.0446  1 Si 2.39
Si  0.8078  0.9070  0.2123  3 Si 2.45-2.51
Si  0.3040  0.4609  0.2523  2 Si 2.39-2.53, 2 Mg 2.66
Si  0.1244  0.3277  0.5921  4 Si 2.39-2.63
Si  0.9848  0.2955  0.2542  2 Si 2.50-2.56, 3 Mg 2.79
Si  0.2759  0.9307  0.8316  3 Si 2.46-2.71
Mg  0.8508  0.5417  0.0484  5 Si 2.78-3.07

Calculated values
* space-group type: No. 1
* theoretical density: 2379 kg/m³
* crystal system: triclinic
* V: 129.3 Å³/f.u.
* relative energy among the computed polymorphs: 101 meV/atom

***

Below is crystalline Mg4Si7 at its relaxed geometry, with properties calculated at the PBE level.

Cell: 14.9334 14.9334 6.8299 Å, 85.42 85.42 15.48°
Last column: nearest neighbours and their distance in Å.
Fractional positions:
Si  0.9138  0.9138  0.7849  4 Si 2.40-2.65
Si  0.2992  0.2992  0.8128  2 Si 2.41-2.53
Si  0.0959  0.0959  0.2364  3 Si 2.46-2.56
Mg  0.8360  0.8360  0.5689  6 Si 2.73-2.84
Mg  0.9832  0.9832  0.0582  11 Si 2.81-3.12
Mg  0.7658  0.7658  0.1280  8 Si 2.78-3.05
Mg  0.0293  0.0293  0.5613  10 Si 2.85-3.08
Si  0.4619  0.4619  0.7627  4 Si 2.43-2.50
Mg  0.6540  0.6540  0.0177  8 Si 2.84-2.97, 2 Mg 3.12
Si  0.5423  0.5423  0.2287  4 Si 2.44-2.56
Mg  0.1891  0.1891  0.3208  4 Si 2.68-2.86
Si  0.8798  0.8798  0.1153  4 Si 2.37-2.42
Si  0.1652  0.1652  0.7071  2 Si 2.38
Si  0.9223  0.9223  0.3955  4 Si 2.37-2.65
Si  0.2801  0.2801  0.4210  1 Si 2.40
Si  0.5414  0.5414  0.8626  4 Si 2.50-2.51
Mg  0.6165  0.6165  0.5268  6 Si 2.82-3.11
Si  0.0919  0.0919  0.8777  4 Si 2.38-2.51
Si  0.3342  0.3342  0.1394  4 Si 2.40-2.53
Si  0.2210  0.2210  0.9405  2 Si 2.38-2.41
Si  0.4672  0.4672  0.4055  4 Si 2.41-2.44
Mg  0.7324  0.7324  0.6318  6 Si 2.79-2.91, 1 Mg 3.06

Calculated values
* space-group type: No. 8
* theoretical density: 2409 kg/m³
* crystal system: monoclinic
* V: 202.5 Å³/f.u.
* relative energy among the computed polymorphs: 15 meV/atom